# 1
15
Lattice="4.6792 0.0000 0.0000 -1.3076 5.2939 0.0000 -0.3790 -0.8088 6.0752" Properties=species:S:1:pos:R:3 comment="Li4CuP2O8, relaxed, DFT PBE" space_group="P-1, No. 2" de_polymorph_ev_per_atom=0.042 final_energy_ev_per_atom=-6.22 magmom_total_mub_per_atom=0.0667 crystal_system=triclinic delta_e_f_mev_per_atom=-2445 pbc="T T T"
Li 0.1261 1.0423 3.5043
Li 0.5425 2.9193 1.0344
Li 2.4501 1.5658 5.0408
Li 2.8664 3.4428 2.5709
Cu 0.0000 0.0000 0.0000
P 0.4999 3.5880 4.3667
P 2.4927 0.8971 1.7085
O 0.0450 2.3469 5.1887
O 0.1605 3.3195 2.8891
O 0.9334 0.7483 1.5939
O 1.1119 -0.3951 4.8735
O 1.8806 4.8802 1.2018
O 2.0591 3.7367 4.4814
O 2.8320 1.1656 3.1861
O 2.9475 2.1381 0.8865

# 2
10
Lattice="0.0000 4.1253 4.1253 4.1253 0.0000 4.1253 4.1253 4.1253 0.0000" Properties=species:S:1:pos:R:3 comment="Ba2ScReO6, relaxed, DFT PBE" space_group="Fm-3m, No. 225" final_energy_ev_per_atom=-7.87 crystal_system=cubic delta_e_f_mev_per_atom=-3053 pbc="T T T"
Ba 2.0626 2.0626 2.0626
Ba 6.1879 6.1879 6.1879
Sc 4.1253 4.1253 4.1253
Re 0.0000 0.0000 0.0000
O 1.9940 4.1253 4.1253
O 6.2566 4.1253 4.1253
O 4.1253 1.9940 4.1253
O 4.1253 6.2566 4.1253
O 4.1253 4.1253 1.9940
O 4.1253 4.1253 6.2566

# 3
4
Lattice="0.0000 3.9215 3.9215 3.9215 0.0000 3.9215 3.9215 3.9215 0.0000" Properties=species:S:1:pos:R:3 comment="CaEuCd2, relaxed, DFT PBE" space_group="Fm-3m, No. 225" final_energy_ev_per_atom=-3.88 crystal_system=cubic delta_e_f_mev_per_atom=-348 pbc="T T T"
Ca 3.9215 3.9215 3.9215
Eu 0.0000 0.0000 0.0000
Cd 5.8822 5.8822 5.8822
Cd 1.9607 1.9607 1.9607

# 4
4
Lattice="1.6937 -1.1165 -2.9545 1.1184 -1.0886 3.2262 -3.5496 -4.5650 -0.3098" Properties=species:S:1:pos:R:3 comment="InN, relaxed, DFT PBE" space_group="P6_3mc, No. 186" de_polymorph_ev_per_atom=0.000 final_energy_ev_per_atom=-5.44 crystal_system=hexagonal delta_e_f_mev_per_atom=-79 pbc="T T T"
In -0.2716 -3.3881 -1.0490
In -2.2381 -5.6613 0.8563
N 1.0747 -1.6566 -0.9315
N -0.8918 -3.9298 0.9738

# 5
5
Lattice="-1.4946 1.4946 9.4089 1.4946 -1.4946 9.4089 1.4946 1.4946 -9.4089" Properties=species:S:1:pos:R:3 comment="Ti4Pd, relaxed, DFT PBE" space_group="I4/mmm, No. 139" final_energy_ev_per_atom=-7.58 magmom_total_mub_per_atom=0.0074 crystal_system=tetragonal delta_e_f_mev_per_atom=-224 pbc="T T T"
Ti 0.0000 0.0000 7.6123
Ti 0.0000 0.0000 15.1446
Ti 0.0000 0.0000 3.6731
Ti 0.0000 0.0000 11.2054
Pd 0.0000 0.0000 0.0000

# 6
36
Lattice="6.5253 0.0000 0.0000 1.6418 12.3205 0.0000 2.5966 1.1597 12.6877" Properties=species:S:1:pos:R:3 comment="NbSNCl6, relaxed, DFT PBE" space_group="P-1, No. 2" final_energy_ev_per_atom=-4.46 magmom_total_mub_per_atom=0.0000 crystal_system=triclinic delta_e_f_mev_per_atom=-1134 pbc="T T T"
Nb 1.1156 0.5925 2.7981
Nb 3.4523 6.5172 9.3194
Nb 7.3114 6.9630 3.3683
Nb 9.6481 12.8876 9.8896
S 2.3607 4.1340 6.7030
S 3.8428 2.9794 2.1797
S 8.4030 9.3462 5.9847
S 6.9209 10.5007 10.5081
N 8.2047 8.3485 4.9433
N 2.5590 5.1317 7.7444
N 7.7969 11.5652 10.0306
N 2.9668 1.9150 2.6571
Cl 6.7140 10.5688 6.4657
Cl 3.4131 1.8227 9.7397
Cl 4.2759 7.9358 10.9498
Cl 4.3516 7.5796 7.4199
Cl 3.2569 3.9622 0.3860
Cl 5.2683 5.0304 9.3531
Cl 2.7968 5.6591 3.7868
Cl 4.0585 11.5364 1.4199
Cl 8.7142 5.1468 10.7393
Cl 6.7052 1.9438 11.2679
Cl 2.0495 8.3334 1.9484
Cl 3.7442 11.9351 4.7271
Cl 6.9672 2.4327 4.1393
Cl 6.4878 5.5444 1.7379
Cl 5.4954 8.4498 3.3346
Cl 6.8443 1.7738 0.8934
Cl 7.3506 11.6575 2.9480
Cl 6.4121 5.9006 5.2678
Cl 4.0497 2.9114 6.2220
Cl 7.0195 1.5451 7.9606
Cl 3.7965 11.0475 8.5484
Cl 3.9195 11.7064 11.7943
Cl 7.5068 9.5180 12.3018
Cl 7.9669 7.8211 8.9009

# 7
5
Lattice="3.3839 0.0000 0.0000 0.0000 3.3839 0.0000 0.0000 0.0000 16.2934" Properties=species:S:1:pos:R:3 comment="Bi2I2O, relaxed, DFT PBE" space_group="P4/mmm, No. 123" final_energy_ev_per_atom=-3.33 magmom_total_mub_per_atom=0.0001 crystal_system=tetragonal delta_e_f_mev_per_atom=-312 pbc="T T T"
Bi 1.6920 1.6920 2.0941
Bi 1.6920 1.6920 14.1993
I 1.6920 1.6920 10.8526
I 1.6920 1.6920 5.4409
O 1.6920 1.6920 0.0000

# 8
17
Lattice="-1.4147 -3.8271 -4.1641 -3.5147 -1.5453 6.4920 -5.3218 6.1474 -2.0758" Properties=species:S:1:pos:R:3 comment="MgV2S4N6Cl4, relaxed, DFT PBE" space_group="P1, No. 1" de_polymorph_ev_per_atom=0.075 final_energy_ev_per_atom=-5.85 magmom_total_mub_per_atom=0.0000 crystal_system=triclinic delta_e_f_mev_per_atom=-480 pbc="T T T"
Mg -5.1800 -0.2702 -0.4805
V -1.0360 -0.2461 -1.1885
V -9.2196 1.0587 1.5789
S -5.7275 3.6205 -0.8536
S -5.1530 0.5793 3.3431
S -4.5119 -2.8080 1.2493
S -4.9929 0.1532 -3.1368
N -5.4022 -2.3383 -0.0445
N -5.0037 1.6749 -3.6012
N -5.2128 -0.8603 3.9513
N -4.8471 -4.2460 1.7715
N -4.8313 3.1409 0.3701
N -5.4449 5.0667 -1.3906
Cl -7.2853 0.5808 0.0172
Cl -2.1142 -2.4544 -1.5278
Cl -3.0269 0.3235 0.2274
Cl -8.1606 3.2606 1.8984

# 9
12
Lattice="1.8711 6.3490 0.0000 -1.8711 6.3490 0.0000 0.0000 2.9548 11.1810" Properties=species:S:1:pos:R:3 comment="Tm4US7, relaxed, DFT PBE" space_group="Cm, No. 8" final_energy_ev_per_atom=-6.69 magmom_total_mub_per_atom=0.0280 crystal_system=monoclinic delta_e_f_mev_per_atom=-2135 pbc="T T T"
Tm 0.0000 9.4373 2.0948
Tm 0.0000 6.2300 9.0744
Tm 0.0000 3.2037 6.4568
Tm 0.0000 15.6431 11.1519
U 0.0000 12.4812 4.7398
S 0.0000 11.3160 7.3100
S 0.0000 4.2526 3.8960
S 0.0000 1.1483 2.3718
S 0.0000 14.5017 8.7710
S 0.0000 7.8665 5.6285
S 0.0000 4.4843 0.5635
S 0.0000 11.1789 10.6178

# 10
24
Lattice="5.0046 -8.6682 0.0000 5.0046 8.6682 0.0000 0.0000 0.0000 6.8279" Properties=species:S:1:pos:R:3 comment="Pr4CrS7, relaxed, DFT PBE" space_group="P6_3, No. 173" de_polymorph_ev_per_atom=0.000 final_energy_ev_per_atom=-6.48 magmom_total_mub_per_atom=0.3335 crystal_system=hexagonal delta_e_f_mev_per_atom=-1963 pbc="T T T"
Pr 5.0046 2.8894 4.5785
Pr 5.0046 -2.8894 1.1646
Pr 2.9948 -1.2946 4.8861
Pr 4.6283 -5.4274 4.8861
Pr 7.0144 1.2946 1.4722
Pr 7.3907 -1.9463 4.8861
Pr 5.3809 5.4274 1.4722
Pr 2.6185 1.9463 1.4722
Cr 0.0000 0.0000 3.6317
Cr 0.0000 0.0000 0.2177
S 2.8934 -3.7747 6.5381
S 6.8268 -4.2751 6.5381
S 7.1157 3.7747 3.1242
S 5.2935 -0.6185 6.5381
S 3.1824 4.2751 3.1242
S 4.7157 0.6185 3.1242
S 5.0046 2.8894 0.4139
S 5.0046 -2.8894 3.8278
S 1.6252 1.1548 5.4928
S 8.1965 0.8300 5.4928
S 8.3840 -1.1548 2.0789
S 5.1921 6.6834 5.4928
S 1.8127 -0.8300 2.0789
S 4.8171 -6.6834 2.0789

# 11
5
Lattice="3.9428 0.0000 0.0000 0.0000 3.9428 0.0000 0.0000 0.0000 3.9428" Properties=species:S:1:pos:R:3 comment="Mn3PdN, relaxed, DFT PBE" space_group="Pm-3m, No. 221" final_energy_ev_per_atom=-8.43 magmom_total_mub_per_atom=1.9084 crystal_system=cubic delta_e_f_mev_per_atom=-301 pbc="T T T"
Mn 0.0000 1.9714 1.9714
Mn 1.9714 1.9714 0.0000
Mn 1.9714 0.0000 1.9714
Pd 0.0000 0.0000 0.0000
N 1.9714 1.9714 1.9714

# 12
6
Lattice="4.1551 -2.6456 0.0000 4.1551 2.6456 0.0000 2.4706 0.0000 4.2615" Properties=species:S:1:pos:R:3 comment="Er2AlCo3, relaxed, DFT PBE" space_group="R-3m, No. 166" final_energy_ev_per_atom=-6.04 crystal_system=trigonal delta_e_f_mev_per_atom=-341 pbc="T T T"
Er 6.7869 0.0000 2.6828
Er 3.9939 0.0000 1.5788
Al 0.0000 0.0000 0.0000
Co 2.0776 1.3228 0.0000
Co 2.0776 -1.3228 0.0000
Co 1.2353 0.0000 2.1308